Entry 1:
The following is a PBE-GGA calculation of a relaxed structure of ZnHgTe2, from Materials Project.

POSCAR file:
```
ZnHgTe2
1.0
4.541 0.000 0.000
0.000 4.541 0.000
0.000 0.000 6.425
Zn Hg Te
1 1 2
direct
0.000 0.000 0.000
0.500 0.500 0.500
0.000 0.500 0.228
0.500 0.000 0.772
```

Symmetry ... P-4m2, No. 115


Entry 2:
The following is a PBE-GGA calculation of a relaxed structure of CaU2B2O10, from Materials Project.

POSCAR file:
```
CaU2B2O10
1.0
6.692 0.000 0.000
0.041 8.372 0.000
0.937 4.160 8.322
Ca U B O
2 4 4 20
direct
0.000 0.000 0.000
0.166 0.322 0.357
0.028 0.539 0.919
0.137 0.780 0.438
0.582 0.658 0.679
0.583 0.157 0.679
0.425 0.964 0.072
0.507 0.456 0.071
0.660 0.852 0.286
0.742 0.353 0.285
0.021 0.317 0.921
0.028 0.756 0.928
0.141 0.006 0.429
0.142 0.560 0.435
0.256 0.906 0.178
0.272 0.643 0.699
0.307 0.464 0.053
0.351 0.211 0.576
0.395 0.050 0.913
0.512 0.790 0.413
0.549 0.379 0.234
0.569 0.884 0.689
0.596 0.430 0.672
0.617 0.935 0.123
0.656 0.517 0.945
0.772 0.271 0.444
0.816 0.100 0.781
0.860 0.841 0.302
0.892 0.682 0.656
0.911 0.409 0.178
```

Symmetry ... P1, No. 1


| no. | formation enthalpy at 0 K (meV per atom) | electronic total energy (Ry/atom) |
| --- | --- | --- |
| 1 | -521.2 | -0.1670 |
| 2 | -3395.4 | -0.6443 |